Entry 1:
VASP calculation (PBE) on a relaxed PBrNF crystal.

The structure in POSCAR format:
```
PBrNF
1.0
5.287 -6.466 0.000
5.287 6.466 0.000
0.000 0.000 8.290
P Br N F
6 6 6 6
Direct
0.335 0.335 0.245 P
0.311 0.097 0.010 P
0.097 0.311 0.010 P
0.665 0.665 0.745 P
0.903 0.689 0.510 P
0.689 0.903 0.510 P
0.262 0.262 0.491 Br
0.162 0.757 0.569 Br
0.738 0.738 0.991 Br
0.243 0.838 0.069 Br
0.757 0.162 0.569 Br
0.838 0.243 0.069 Br
0.803 0.591 0.655 N
0.161 0.161 0.932 N
0.839 0.839 0.432 N
0.591 0.803 0.655 N
0.409 0.197 0.155 N
0.197 0.409 0.155 N
0.090 0.438 0.872 F
0.910 0.562 0.372 F
0.520 0.520 0.780 F
0.562 0.910 0.372 F
0.438 0.090 0.872 F
0.480 0.480 0.280 F
```

## Properties
SG: Cmc2_1, No. 36
Total DFT energy (no corrections), eV per atom: -5.3414
Magnetic moment, μB per atom: 0.00
Largest piezoelectric modulus, C/m2: 0.58

---

Entry 2:
VASP calculation (PBE) on a relaxed Rb2PuCl4O2 crystal.

The structure in POSCAR format:
```
Rb2PuCl4O2
1.0
0.186 0.000 5.787
-6.128 3.794 0.324
-6.128 -3.794 0.324
Rb Pu Cl O
2 1 4 2
Direct
0.780 0.843 0.843 Rb
0.220 0.157 0.157 Rb
0.500 0.500 0.500 Pu
0.718 0.862 0.356 Cl
0.718 0.356 0.862 Cl
0.282 0.138 0.644 Cl
0.282 0.644 0.138 Cl
0.713 0.393 0.393 O
0.287 0.607 0.607 O
```

## Properties
SG: C2/m, No. 12
Total DFT energy (no corrections), eV per atom: -5.7658

---

Entry 3:
VASP calculation (PBE) on a relaxed Cs2KInI6 crystal.

The structure in POSCAR format:
```
Cs2KInI6
1.0
3.146 -6.733 -5.013
-0.496 -8.433 3.000
-5.687 -5.786 -3.812
Cs K In I
2 1 1 6
Direct
0.750 0.750 0.750 Cs
0.250 0.250 0.250 Cs
0.500 0.500 0.500 K
0.000 0.000 0.000 In
0.768 0.232 0.232 I
0.232 0.232 0.768 I
0.232 0.768 0.768 I
0.232 0.768 0.232 I
0.768 0.232 0.768 I
0.768 0.768 0.232 I
```

## Properties
SG: Fm-3m, No. 225
Total DFT energy (no corrections), eV per atom: -2.5764
Magnetic moment, μB per atom: 0.00

---

Entry 4:
VASP calculation (PBE) on a relaxed Pd3N crystal.

The structure in POSCAR format:
```
Pd3N
1.0
2.873 -3.142 0.367
0.663 -1.857 3.791
-1.299 -4.015 0.668
Pd N
3 1
Direct
0.500 0.500 0.500 Pd
0.750 0.750 0.750 Pd
0.250 0.250 0.250 Pd
0.000 0.000 0.000 N
```

## Properties
SG: Fm-3m, No. 225
Total DFT energy (no corrections), eV per atom: -4.8563
Magnetic moment, μB per atom: 0.00

---

Entry 5:
VASP calculation (PBE) on a relaxed SmAl3Ni crystal.

The structure in POSCAR format:
```
SmAl3Ni
1.0
-1.762 3.568 -0.953
-6.247 -3.999 -3.423
-5.149 -0.025 9.427
Sm Al Ni
4 12 4
Direct
0.250 0.685 0.509 Sm
0.750 0.315 0.491 Sm
0.750 0.815 0.009 Sm
0.250 0.185 0.991 Sm
0.250 0.857 0.223 Al
0.750 0.143 0.777 Al
0.750 0.643 0.723 Al
0.250 0.357 0.277 Al
0.250 0.554 0.083 Al
0.750 0.446 0.917 Al
0.750 0.946 0.583 Al
0.250 0.054 0.417 Al
0.250 0.885 0.785 Al
0.750 0.115 0.215 Al
0.750 0.615 0.285 Al
0.250 0.385 0.715 Al
0.250 0.605 0.856 Ni
0.750 0.395 0.144 Ni
0.750 0.895 0.356 Ni
0.250 0.105 0.644 Ni
```

## Properties
SG: Pnma, No. 62
Total DFT energy (no corrections), eV per atom: -4.9327

---

Entry 6:
VASP calculation (PBE) on a relaxed Na6Sc2Ta2Si5SO24 crystal.

The structure in POSCAR format:
```
Na6Sc2Ta2Si5SO24
1.0
-6.084 0.552 -6.720
6.537 -6.292 -0.305
-13.400 -14.527 11.022
Na Sc Ta Si S O
18 6 6 15 3 72
Direct
0.642 0.014 0.249 Na
0.366 0.354 0.253 Na
0.990 0.629 0.248 Na
0.994 0.358 0.749 Na
0.299 0.342 0.581 Na
0.661 0.960 0.580 Na
0.668 0.700 0.077 Na
0.021 0.338 0.080 Na
0.956 0.664 0.913 Na
0.713 0.036 0.918 Na
0.329 0.305 0.913 Na
0.698 0.675 0.417 Na
0.008 0.012 0.495 Na
0.992 0.996 0.997 Na
0.665 0.341 0.831 Na
0.661 0.321 0.332 Na
0.330 0.687 0.162 Na
0.330 0.676 0.661 Na
0.005 0.014 0.353 Sc
0.992 0.999 0.848 Sc
0.675 0.329 0.185 Sc
0.689 0.346 0.982 Sc
0.335 0.672 0.019 Sc
0.336 0.664 0.522 Sc
0.997 0.993 0.647 Ta
0.993 0.993 0.150 Ta
0.665 0.335 0.687 Ta
0.655 0.320 0.481 Ta
0.345 0.671 0.314 Ta
0.335 0.654 0.807 Ta
0.291 0.000 0.252 Si
0.709 0.706 0.254 Si
0.002 0.294 0.250 Si
0.292 0.282 0.751 Si
0.000 0.709 0.752 Si
0.705 0.998 0.750 Si
0.956 0.335 0.585 Si
0.373 0.041 0.585 Si
0.673 0.623 0.582 Si
0.967 0.634 0.084 Si
0.664 0.035 0.084 Si
0.626 0.666 0.918 Si
0.044 0.374 0.917 Si
0.628 0.962 0.420 Si
0.332 0.371 0.420 Si
0.368 0.326 0.083 S
0.333 0.955 0.915 S
0.042 0.662 0.416 S
0.202 0.033 0.307 O
0.825 0.786 0.310 O
0.961 0.167 0.304 O
0.214 0.182 0.811 O
0.970 0.785 0.812 O
0.822 0.042 0.808 O
0.801 0.971 0.692 O
0.164 0.196 0.693 O
0.026 0.835 0.695 O
0.799 0.835 0.194 O
0.039 0.206 0.191 O
0.162 0.966 0.193 O
0.860 0.352 0.643 O
0.502 0.145 0.640 O
0.647 0.498 0.638 O
0.874 0.518 0.142 O
0.644 0.123 0.143 O
0.474 0.352 0.137 O
0.448 0.305 0.029 O
0.844 0.556 0.026 O
0.701 0.156 0.025 O
0.467 0.170 0.527 O
0.698 0.532 0.523 O
0.825 0.302 0.528 O
0.542 0.698 0.976 O
0.159 0.464 0.975 O
0.307 0.852 0.969 O
0.535 0.846 0.476 O
0.314 0.463 0.477 O
0.147 0.684 0.469 O
0.126 0.642 0.362 O
0.501 0.863 0.359 O
0.361 0.501 0.360 O
0.143 0.500 0.859 O
0.359 0.874 0.863 O
0.497 0.647 0.861 O
0.018 0.811 0.411 O
0.807 0.966 0.412 O
0.174 0.183 0.413 O
0.028 0.187 0.913 O
0.181 0.974 0.911 O
0.815 0.831 0.912 O
0.966 0.157 0.591 O
0.191 0.039 0.592 O
0.841 0.815 0.590 O
0.978 0.823 0.092 O
0.848 0.028 0.091 O
0.196 0.176 0.089 O
0.690 0.170 0.740 O
0.484 0.316 0.741 O
0.839 0.515 0.741 O
0.671 0.515 0.242 O
0.841 0.323 0.244 O
0.478 0.161 0.243 O
0.628 0.486 0.919 O
0.855 0.358 0.918 O
0.487 0.127 0.921 O
0.644 0.152 0.423 O
0.519 0.374 0.422 O
0.871 0.507 0.420 O
0.351 0.481 0.079 O
0.148 0.642 0.079 O
0.511 0.840 0.080 O
0.364 0.861 0.580 O
0.505 0.643 0.581 O
0.146 0.494 0.580 O
0.301 0.821 0.258 O
0.520 0.699 0.257 O
0.177 0.484 0.258 O
0.304 0.474 0.756 O
0.169 0.684 0.757 O
0.515 0.829 0.758 O
```

## Properties
SG: P1, No. 1
Total DFT energy (no corrections), eV per atom: -7.4390
Magnetic moment, μB per atom: 0.00

---

Entry 7:
VASP calculation (PBE) on a relaxed Na4LaYSiP2O12 crystal.

The structure in POSCAR format:
```
Na4LaYSiP2O12
1.0
-2.296 -9.303 -0.934
1.757 3.666 8.723
-22.623 5.361 2.294
Na La Y Si P O
24 6 6 6 12 72
Direct
0.641 0.003 0.255 Na
0.357 0.367 0.249 Na
0.005 0.627 0.252 Na
0.637 0.638 0.743 Na
0.987 0.357 0.748 Na
0.380 0.008 0.745 Na
0.301 0.324 0.581 Na
0.041 0.711 0.580 Na
0.661 0.969 0.591 Na
0.289 0.963 0.082 Na
0.682 0.704 0.083 Na
0.033 0.335 0.093 Na
0.972 0.676 0.923 Na
0.696 0.036 0.909 Na
0.333 0.293 0.916 Na
0.967 0.308 0.408 Na
0.324 0.025 0.422 Na
0.708 0.666 0.415 Na
0.010 0.990 0.500 Na
0.008 0.992 0.001 Na
0.660 0.316 0.834 Na
0.683 0.340 0.336 Na
0.317 0.658 0.167 Na
0.341 0.682 0.666 Na
0.000 0.999 0.843 La
0.672 0.335 0.183 La
0.668 0.333 0.989 La
0.330 0.670 0.013 La
0.330 0.670 0.513 La
0.336 0.674 0.817 La
0.000 0.001 0.349 Y
0.000 0.999 0.649 Y
0.001 0.001 0.155 Y
0.664 0.327 0.680 Y
0.665 0.331 0.484 Y
0.327 0.664 0.319 Y
0.006 0.307 0.252 Si
0.693 0.004 0.748 Si
0.360 0.031 0.582 Si
0.980 0.651 0.085 Si
0.334 0.984 0.917 Si
0.021 0.665 0.417 Si
0.299 0.994 0.252 P
0.694 0.703 0.252 P
0.309 0.307 0.747 P
0.995 0.690 0.747 P
0.965 0.328 0.583 P
0.671 0.635 0.584 P
0.673 0.021 0.085 P
0.350 0.328 0.086 P
0.645 0.665 0.917 P
0.022 0.355 0.915 P
0.640 0.975 0.415 P
0.336 0.361 0.416 P
0.209 0.007 0.305 O
0.800 0.788 0.305 O
0.991 0.199 0.308 O
0.238 0.215 0.803 O
0.979 0.764 0.803 O
0.788 0.020 0.809 O
0.795 0.989 0.694 O
0.200 0.208 0.696 O
0.013 0.803 0.696 O
0.781 0.800 0.197 O
0.019 0.218 0.194 O
0.200 0.978 0.197 O
0.883 0.347 0.637 O
0.467 0.122 0.639 O
0.657 0.537 0.638 O
0.886 0.537 0.140 O
0.648 0.104 0.138 O
0.454 0.346 0.139 O
0.432 0.311 0.031 O
0.877 0.568 0.026 O
0.689 0.119 0.031 O
0.451 0.136 0.525 O
0.684 0.547 0.530 O
0.864 0.315 0.530 O
0.559 0.675 0.972 O
0.120 0.441 0.969 O
0.319 0.880 0.974 O
0.567 0.874 0.470 O
0.310 0.433 0.472 O
0.127 0.695 0.475 O
0.118 0.643 0.363 O
0.533 0.886 0.363 O
0.356 0.471 0.364 O
0.109 0.452 0.861 O
0.349 0.891 0.860 O
0.544 0.652 0.863 O
0.999 0.825 0.413 O
0.813 0.999 0.410 O
0.187 0.188 0.410 O
0.002 0.184 0.915 O
0.172 0.001 0.916 O
0.814 0.819 0.916 O
0.976 0.171 0.586 O
0.180 0.013 0.583 O
0.825 0.805 0.585 O
0.996 0.830 0.088 O
0.829 0.012 0.090 O
0.182 0.174 0.089 O
0.676 0.166 0.746 O
0.482 0.333 0.742 O
0.841 0.522 0.742 O
0.667 0.529 0.251 O
0.845 0.328 0.253 O
0.468 0.147 0.251 O
0.664 0.514 0.917 O
0.853 0.340 0.916 O
0.496 0.163 0.917 O
0.653 0.143 0.418 O
0.491 0.347 0.419 O
0.843 0.501 0.418 O
0.330 0.479 0.084 O
0.160 0.670 0.086 O
0.528 0.847 0.083 O
0.343 0.850 0.583 O
0.519 0.653 0.582 O
0.138 0.475 0.581 O
0.319 0.843 0.255 O
0.528 0.694 0.255 O
0.170 0.487 0.253 O
0.319 0.474 0.746 O
0.144 0.667 0.746 O
0.513 0.841 0.745 O
```

## Properties
SG: P1, No. 1
Total DFT energy (no corrections), eV per atom: -7.0332
Magnetic moment, μB per atom: 0.00

---

Entry 8:
VASP calculation (PBE) on a relaxed LuTiFe11C crystal.

The structure in POSCAR format:
```
LuTiFe11C
1.0
3.758 -1.153 2.763
4.528 -3.227 -3.327
0.787 5.769 -2.842
Lu Ti Fe C
1 1 11 1
Direct
0.008 0.992 0.008 Lu
0.634 0.366 0.634 Ti
0.724 0.776 0.224 Fe
0.278 0.222 0.778 Fe
0.498 0.782 0.778 Fe
0.498 0.222 0.218 Fe
0.500 0.998 0.499 Fe
0.001 0.998 0.499 Fe
0.500 0.501 0.002 Fe
0.001 0.501 0.002 Fe
0.356 0.644 0.356 Fe
0.000 0.358 0.358 Fe
0.000 0.642 0.642 Fe
0.501 0.999 0.001 C
```

## Properties
SG: Imm2, No. 44
Total DFT energy (no corrections), eV per atom: -8.3113
Magnetic moment, μB per atom: 1.55

---

Entry 9:
VASP calculation (PBE) on a relaxed KNaCaThSi8O20 crystal.

The structure in POSCAR format:
```
KNaCaThSi8O20
1.0
-4.609 -2.917 -5.338
5.863 -3.916 -2.922
-3.181 -11.503 9.033
K Na Ca Th Si O
2 2 2 2 16 40
Direct
0.000 0.000 0.500 K
0.000 0.000 0.000 K
0.000 0.500 0.250 Na
0.500 0.000 0.750 Na
0.500 0.000 0.250 Ca
0.000 0.500 0.750 Ca
0.000 0.000 0.250 Th
0.000 0.000 0.750 Th
0.257 0.335 0.392 Si
0.743 0.665 0.392 Si
0.663 0.261 0.393 Si
0.337 0.739 0.393 Si
0.739 0.337 0.893 Si
0.261 0.663 0.893 Si
0.335 0.257 0.892 Si
0.665 0.743 0.892 Si
0.739 0.663 0.607 Si
0.261 0.337 0.607 Si
0.335 0.743 0.608 Si
0.665 0.257 0.608 Si
0.257 0.665 0.108 Si
0.743 0.335 0.108 Si
0.663 0.739 0.107 Si
0.337 0.261 0.107 Si
0.103 0.241 0.338 O
0.897 0.759 0.338 O
0.747 0.103 0.336 O
0.253 0.897 0.336 O
0.897 0.253 0.836 O
0.103 0.747 0.836 O
0.241 0.103 0.838 O
0.759 0.897 0.838 O
0.897 0.747 0.664 O
0.103 0.253 0.664 O
0.241 0.897 0.662 O
0.759 0.103 0.662 O
0.103 0.759 0.162 O
0.897 0.241 0.162 O
0.747 0.897 0.164 O
0.253 0.103 0.164 O
0.231 0.311 0.500 O
0.769 0.689 0.500 O
0.689 0.231 0.500 O
0.311 0.769 0.500 O
0.769 0.311 0.000 O
0.231 0.689 0.000 O
0.311 0.231 0.000 O
0.689 0.769 0.000 O
0.452 0.254 0.365 O
0.548 0.746 0.365 O
0.742 0.454 0.367 O
0.258 0.546 0.367 O
0.546 0.258 0.867 O
0.454 0.742 0.867 O
0.254 0.452 0.865 O
0.746 0.548 0.865 O
0.546 0.742 0.633 O
0.454 0.258 0.633 O
0.254 0.548 0.635 O
0.746 0.452 0.635 O
0.452 0.746 0.135 O
0.548 0.254 0.135 O
0.742 0.546 0.133 O
0.258 0.454 0.133 O
```

## Properties
SG: P-42c, No. 112
Total DFT energy (no corrections), eV per atom: -7.7017

---

no.,theoretical density (g/cm3),energy relative to the elements (eV per atom)
1,2.5,-1.1315
2,3.6,-2.1941
3,3.9,-1.3241
4,10.0,1.0225
5,5.4,-0.5856
6,3.5,-2.9930
7,3.2,-3.0296
8,8.1,-0.1102
9,3.3,-3.3119